(1)
VASP calculation (PBE-GGA) on an optimized crystal structure of Li2Sn5P4O16.

a b c (Å): 5.1791 9.6562 9.7239
angles (deg): 115.57 101.97 99.88
With the nearest neighbours (Å) after each atom.
Space group P-1 (No. 2)
Unique sites:
Li  0.1331  0.1757  0.2543  3 O 1.86-2.00
Sn  0.2714  0.5472  0.7687  3 O 2.20-2.35
Sn  0.4753  0.1946  0.6675  2 O 2.16-2.26
Sn  0.5000  0.0000  0.0000  6 O 2.46-2.70
P  0.0540  0.2248  0.9496  4 O 1.54-1.59
P  0.2837  0.7502  0.5625  4 O 1.52-1.60
O  0.0095  0.2601  0.4312  1 P 1.52
O  0.0832  0.0526  0.8838  1 P 1.55
O  0.1066  0.7541  0.9228  1 P 1.59
O  0.1077  0.7501  0.1862  1 P 1.55
O  0.2989  0.6168  0.4047  1 P 1.55
O  0.3413  0.3514  0.0317  1 P 1.54
O  0.4397  0.9109  0.5695  1 P 1.59
O  0.4644  0.7504  0.7175  1 P 1.60

Values from the calculation:
M_tot ... 0.0 μB/cell
Calculated volume ... 15.182 Å³/atom
Energy of formation from the pure elements ... -2320 meV per atom
MP2020-corrected energy ... -187.3 eV for the cell shown

=====

(2)
VASP calculation (PBE-GGA) on an optimized crystal structure of Tb6Ga21Co7.

a b c (Å): 16.6923 16.6923 4.1443
angles (deg): 90.00 90.00 90.00
With the nearest neighbours (Å) after each atom.
Space group P4/mbm (No. 127)
Unique sites:
Tb  0.0868  0.1578  0.0000  11 Ga 2.92-3.19, 1 Co 3.01
Tb  0.1073  0.6073  0.5000  12 Ga 3.08-3.27, 6 Co 3.24-3.35
Ga  0.0000  0.5000  0.0000  4 Co 2.54, 4 Ga 2.72
Ga  0.0317  0.8916  0.5000  3 Ga 2.67-2.99, 2 Co 2.80, 4 Tb 2.98
Ga  0.0428  0.2726  0.5000  2 Co 2.47, 1 Ga 2.61
Ga  0.0745  0.4255  0.5000  4 Co 2.49, 4 Ga 2.61-2.72
Ga  0.0754  0.7416  0.0000  2 Co 2.42-2.43
Ga  0.1784  0.7894  0.5000  2 Co 2.48, 1 Ga 2.62
Ga  0.1795  0.3205  0.0000  3 Co 2.40-2.45
Co  0.0000  0.0000  0.0000  8 Ga 2.80, 4 Tb 3.01
Co  0.0360  0.3524  0.0000  7 Ga 2.43-2.54, 1 Co 2.63
Co  0.2189  0.7189  0.0000  7 Ga 2.40-2.48

Values from the calculation:
M_tot ... 3.9 μB/cell
Calculated volume ... 16.981 Å³/atom
Energy of formation from the pure elements ... -485 meV per atom

=====

(3)
VASP calculation (PBE-GGA) on an optimized crystal structure of UMo13P9.

a b c (Å): 10.8837 10.8837 3.3151
angles (deg): 90.00 90.00 120.00
With the nearest neighbours (Å) after each atom.
Space group P-6m2 (No. 187)
Unique sites:
U  0.0000  0.0000  0.0000  6 P 2.91, 6 Mo 3.12
Mo  0.0541  0.3823  0.0000  5 P 2.42-2.71
Mo  0.2807  0.1403  0.5000  4 P 2.41-2.53
Mo  0.3333  0.6667  0.0000  6 P 2.47
Mo  0.5742  0.1485  0.5000  5 P 2.46-2.72
P  0.1272  0.2543  0.5000  6 Mo 2.53
P  0.1396  0.5698  0.5000  7 Mo 2.42-2.72
P  0.4656  0.2328  0.0000  6 Mo 2.41-2.46

Values from the calculation:
M_tot ... 0.0 μB/cell
Calculated volume ... 14.786 Å³/atom
Energy of formation from the pure elements ... -547 meV per atom

=====

(4)
VASP calculation (PBE-GGA) on an optimized crystal structure of K4MgTi2S6.

a b c (Å): 6.6464 6.7405 7.7388
angles (deg): 86.98 74.31 82.04
With the nearest neighbours (Å) after each atom.
Space group P1 (No. 1)
Unique sites:
K  0.0000  0.0000  0.0000  4 S 2.98-3.25
K  0.0655  0.3006  0.4782  4 S 3.07-3.36, 1 Mg 3.27
K  0.4598  0.4511  0.6791  5 S 3.10-3.41, 1 Mg 3.42, 1 K 3.43
K  0.6975  0.8745  0.6676  5 S 3.17-3.49, 1 K 3.43
Mg  0.0831  0.4960  0.0797  4 S 2.45-2.47
Ti  0.4602  0.8885  0.2751  3 S 2.26-2.45
Ti  0.5997  0.4530  0.1351  5 S 2.37-2.56
S  0.2205  0.8471  0.5396  1 Ti 2.26
S  0.3574  0.2106  0.0850  1 Mg 2.47, 2 Ti 2.56-2.67
S  0.3646  0.7104  0.0468  2 Ti 2.37-2.45, 1 Mg 2.47
S  0.6374  0.1740  0.3503  2 Ti 2.48-2.56
S  0.7652  0.6522  0.3012  2 Ti 2.45, 1 Mg 2.47
S  0.8826  0.4376  0.8685  1 Ti 2.38, 1 Mg 2.45

Values from the calculation:
M_tot ... 0.0 μB/cell
Calculated volume ... 25.425 Å³/atom
Energy of formation from the pure elements ... -1444 meV per atom
Energy above the most stable polymorph in this dataset ... 0.0 kJ/mol of atoms
MP2020-corrected energy ... -65.4 eV for the cell shown

=====

(5)
VASP calculation (PBE-GGA) on an optimized crystal structure of Ca3SbP.

a b c (Å): 5.7363 5.7363 5.7363
angles (deg): 90.00 90.00 90.00
With the nearest neighbours (Å) after each atom.
Space group Pm-3m (No. 221)
Unique sites:
Ca  0.0000  0.0000  0.5000  2 Sb 2.87
Sb  0.0000  0.0000  0.0000  6 Ca 2.87
P  0.5000  0.5000  0.5000  12 Ca 4.06

Values from the calculation:
M_tot ... 0.0 μB/cell
Calculated volume ... 37.750 Å³/atom
Energy of formation from the pure elements ... -279 meV per atom
Energy above the most stable polymorph in this dataset ... 68.0 kJ/mol of atoms

=====

(6)
VASP calculation (PBE-GGA) on an optimized crystal structure of KGe2O4.

a b c (Å): 19.3353 19.3353 8.9017
angles (deg): 90.00 90.00 120.00
With the nearest neighbours (Å) after each atom.
Space group P6_3 (No. 173)
Unique sites:
K  0.0000  0.0000  0.0018  6 O 2.89-3.16
K  0.0034  0.4769  0.0000  4 O 2.74-2.87
K  0.1362  0.3340  0.9950  4 O 2.74-2.82
K  0.1486  0.8164  0.4947  4 O 2.78-2.81
K  0.3333  0.6667  0.4877  6 O 2.91-3.18
K  0.3333  0.6667  0.9872  6 O 2.88-3.15
Ge  0.0000  0.3353  0.6941  4 O 1.80-1.85
Ge  0.0007  0.3302  0.2927  4 O 1.80-1.86
Ge  0.0132  0.8460  0.7865  4 O 1.83-1.84
Ge  0.0137  0.8409  0.1739  4 O 1.85-1.88
Ge  0.1643  0.5063  0.3149  4 O 1.85-1.86
Ge  0.1641  0.5111  0.7017  4 O 1.84-1.86
Ge  0.1749  0.6800  0.8156  4 O 1.83-1.85
Ge  0.1764  0.6763  0.2014  4 O 1.84-1.85
O  0.0128  0.3354  0.4935  2 Ge 1.80
O  0.0318  0.2587  0.2268  2 Ge 1.84-1.86
O  0.0350  0.7663  0.2660  2 Ge 1.84-1.88
O  0.0518  0.8626  0.9782  2 Ge 1.83-1.86
O  0.0612  0.1222  0.2724  2 Ge 1.83-1.86
O  0.0690  0.6286  0.2494  2 Ge 1.85
O  0.0720  0.4301  0.2176  2 Ge 1.85-1.86
O  0.0947  0.1963  0.6689  2 Ge 1.84-1.85
O  0.1013  0.4064  0.7653  2 Ge 1.85
O  0.1025  0.7041  0.7279  2 Ge 1.85
O  0.1349  0.5717  0.8190  2 Ge 1.83-1.86
O  0.1430  0.5270  0.5071  2 Ge 1.84-1.85
O  0.1956  0.7178  0.0103  2 Ge 1.84-1.85
O  0.2111  0.6033  0.2146  2 Ge 1.84-1.85
O  0.2340  0.7629  0.3260  2 Ge 1.85
O  0.2713  0.5436  0.7189  2 Ge 1.84-1.85

Values from the calculation:
M_tot ... 0.0 μB/cell
Calculated volume ... 17.155 Å³/atom
Energy of formation from the pure elements ... -1964 meV per atom
MP2020-corrected energy ... -1053.5 eV for the cell shown

=====

(7)
VASP calculation (PBE-GGA) on an optimized crystal structure of Sr2GdNbO6.

a b c (Å): 8.5029 8.5029 8.5029
angles (deg): 90.00 90.00 90.00
With the nearest neighbours (Å) after each atom.
Space group Fm-3m (No. 225)
Unique sites:
Sr  0.2500  0.2500  0.2500  12 O 3.01
Gd  0.0000  0.0000  0.0000  6 O 2.24
Nb  0.0000  0.0000  0.5000  6 O 2.01
O  0.0000  0.0000  0.2638  1 Nb 2.01, 1 Gd 2.24

Values from the calculation:
M_tot ... 28.0 μB/cell
Calculated volume ... 15.369 Å³/atom
Energy of formation from the pure elements ... -3358 meV per atom
MP2020-corrected energy ... -363.3 eV for the cell shown